Below is MgCo2Si after structural relaxation, with properties calculated at the PBE level.

Cell: 5.7101 5.7101 5.7101 Å, 90.00 90.00 90.00°
Space group Fm-3m (No. 225)
Unique sites:
Mg  0.0000  0.0000  0.0000
Co  0.2500  0.2500  0.2500
Si  0.0000  0.0000  0.5000

Values from the calculation:
E (MP2020) in Ry per atom: -0.412
Calculated volume in Å³/cell: 186
ρ in kg/m3: 6074
Spin magnetization in μB/cell: 0.04

---

Below is Na5Y3ZrP6O24 after structural relaxation, with properties calculated at the PBE level.

Cell: 9.2683 9.2716 23.2694 Å, 89.88 89.84 60.04°
Space group P1 (No. 1)
Unique sites:
Na  0.0000  0.0000  0.0000
Na  0.9999  0.0164  0.5009
Na  0.0157  0.6838  0.5858
Na  0.0181  0.3148  0.0853
Na  0.3169  0.3487  0.6708
Na  0.3170  0.3657  0.1736
Na  0.3452  0.0172  0.2646
Na  0.6237  0.3768  0.2630
Na  0.6321  0.0122  0.7566
Na  0.6328  0.6834  0.8425
Na  0.6468  0.0520  0.0856
Na  0.6481  0.3178  0.5855
Na  0.6497  0.6832  0.3512
Na  0.9784  0.3781  0.7570
Na  0.9807  0.6560  0.2632
Y  0.3158  0.3397  0.5208
Y  0.3164  0.3583  0.0211
Y  0.3167  0.3485  0.3326
Y  0.6357  0.6886  0.6912
Y  0.6443  0.6830  0.1881
Y  0.9801  0.0171  0.3613
Y  0.9853  0.0140  0.8598
Y  0.9922  0.0073  0.1535
Y  0.9965  0.0118  0.6573
Zr  0.3162  0.3571  0.8279
Zr  0.6457  0.6874  0.4893
Zr  0.6471  0.6837  0.9854
P  0.0051  0.6550  0.4263
P  0.0138  0.3567  0.9258
P  0.2813  0.7141  0.2581
P  0.2828  0.0286  0.7607
P  0.3227  0.0356  0.4218
P  0.3238  0.6482  0.9244
P  0.3519  0.6806  0.5878
P  0.3541  0.9810  0.0882
P  0.6117  0.0476  0.9251
P  0.6218  0.3568  0.4261
P  0.6533  0.3841  0.0895
P  0.6538  0.9794  0.5923
P  0.6814  0.3113  0.7567
P  0.6817  0.0197  0.2539
P  0.9395  0.3925  0.5922
P  0.9401  0.6836  0.0890
P  0.9866  0.3146  0.2542
P  0.9880  0.7101  0.7562
O  0.0091  0.2167  0.1975
O  0.0149  0.7793  0.6990
O  0.0848  0.5546  0.3701
O  0.1107  0.3378  0.9815
O  0.1120  0.3747  0.8734
O  0.1116  0.3790  0.5858
O  0.1120  0.5248  0.0843
O  0.1120  0.5634  0.4790
O  0.1421  0.5320  0.7666
O  0.1436  0.3333  0.2613
O  0.1701  0.0131  0.4216
O  0.1724  0.8229  0.9186
O  0.1748  0.8350  0.5898
O  0.1760  0.0582  0.7060
O  0.1766  0.0053  0.0871
O  0.1775  0.7940  0.2032
O  0.1953  0.8260  0.3096
O  0.1981  0.0042  0.8125
O  0.2952  0.1918  0.7671
O  0.3002  0.5378  0.2633
O  0.3040  0.5688  0.9790
O  0.3064  0.1515  0.4712
O  0.3350  0.5218  0.5842
O  0.3400  0.1553  0.0844
O  0.3401  0.5348  0.8721
O  0.3435  0.1080  0.3638
O  0.4449  0.9050  0.1453
O  0.4483  0.6942  0.5358
O  0.4523  0.6609  0.6425
O  0.4581  0.8671  0.0377
O  0.4593  0.6926  0.2539
O  0.4641  0.8828  0.7556
O  0.4835  0.8639  0.4299
O  0.4870  0.6568  0.9268
O  0.4982  0.1465  0.8725
O  0.5069  0.1597  0.5866
O  0.5068  0.3501  0.0854
O  0.5081  0.1789  0.2613
O  0.5085  0.3228  0.7671
O  0.5224  0.3754  0.3699
O  0.5298  0.3413  0.4788
O  0.5329  0.1447  0.9806
O  0.6210  0.8746  0.9276
O  0.6363  0.9057  0.6495
O  0.6372  0.4726  0.1472
O  0.6370  0.5164  0.4314
O  0.6580  0.8644  0.2521
O  0.6610  0.4914  0.0393
O  0.6633  0.4859  0.7531
O  0.6629  0.8648  0.5419
O  0.7517  0.2085  0.7004
O  0.7581  0.0406  0.1970
O  0.7870  0.0232  0.9186
O  0.7973  0.2038  0.4233
O  0.7994  0.9932  0.3039
O  0.8009  0.2194  0.8060
O  0.8194  0.2136  0.0880
O  0.8199  0.9845  0.5915
O  0.8220  0.4951  0.5419
O  0.8235  0.6954  0.0388
O  0.8298  0.4929  0.2523
O  0.8304  0.6698  0.4321
O  0.8327  0.6865  0.7537
O  0.8405  0.5198  0.9285
O  0.8641  0.4867  0.6490
O  0.8648  0.6670  0.1463
O  0.9463  0.8475  0.0879
O  0.9470  0.2215  0.5925
O  0.9586  0.8312  0.8053
O  0.9618  0.2221  0.3043
O  0.9826  0.8303  0.4233
O  0.9901  0.2057  0.9188

Values from the calculation:
E (MP2020) in Ry per atom: -0.578
Calculated volume in Å³/cell: 1732
ρ in kg/m3: 2999
Spin magnetization in μB/cell: 0.00

---

Below is CuCl2O2 after structural relaxation, with properties calculated at the PBE level.

Cell: 7.0006 4.1281 6.8962 Å, 90.00 90.00 90.00°
Space group Pmna (No. 53)
Unique sites:
Cu  0.0000  0.0000  0.0000
Cl  0.0000  0.3094  0.2589
O  0.2475  0.0000  0.5000

Values from the calculation:
E (MP2020) in Ry per atom: -0.250
Calculated volume in Å³/cell: 199
ρ in kg/m3: 2774
Spin magnetization in μB/cell: 5.99

---

Below is SrBi3 after structural relaxation, with properties calculated at the PBE level.

Cell: 5.0768 5.0768 5.0768 Å, 90.00 90.00 90.00°
Space group Pm-3m (No. 221)
Unique sites:
Sr  0.0000  0.0000  0.0000
Bi  0.0000  0.5000  0.5000

Values from the calculation:
Calculated volume in Å³/cell: 131
ρ in kg/m3: 9068
Final energy in eV per formula unit: -15.11

---

Below is NdMnIn after structural relaxation, with properties calculated at the PBE level.

Cell: 4.5668 4.5668 3.9295 Å, 90.00 90.00 120.00°
Space group P-6m2 (No. 187)
Unique sites:
Nd  0.0000  0.0000  0.0000
Mn  0.3333  0.6667  0.5000
In  0.6667  0.3333  0.5000

Values from the calculation:
Calculated volume in Å³/cell: 71
ρ in kg/m3: 7347
Spin magnetization in μB/cell: 3.19
Final energy in eV per formula unit: -16.77

---

Below is LaBiS2O after structural relaxation, with properties calculated at the PBE level.

Cell: 4.0555 4.0555 14.1733 Å, 90.00 90.00 90.00°
Space group P4/nmm (No. 129, origin choice 2)
Unique sites:
La  0.2500  0.2500  0.0877
Bi  0.2500  0.2500  0.6322
S  0.2500  0.2500  0.3900
S  0.2500  0.2500  0.8098
O  0.2500  0.7500  0.0000

Values from the calculation:
E (MP2020) in Ry per atom: -0.478
Calculated volume in Å³/cell: 233
ρ in kg/m3: 6098
Spin magnetization in μB/cell: 0.00

---

Below is WN2 after structural relaxation, with properties calculated at the PBE level.

Cell: 6.0568 10.6811 11.6695 Å, 90.00 113.03 90.00°
Space group P2_1/c (No. 14)
Unique sites:
W  0.0846  0.0047  0.3036
W  0.2510  0.1822  0.9117
W  0.3838  0.1533  0.6746
N  0.0581  0.0372  0.8645
N  0.0739  0.1767  0.3373
N  0.0759  0.0831  0.6139
N  0.3766  0.1995  0.0861
N  0.4020  0.5462  0.8543
N  0.4894  0.1798  0.8471

Values from the calculation:
E (MP2020) in Ry per atom: -0.752
Calculated volume in Å³/cell: 695
ρ in kg/m3: 6076
Spin magnetization in μB/cell: 0.00

---

Below is MgNb2Cu2O6F2 after structural relaxation, with properties calculated at the PBE level.

Cell: 3.8672 6.6145 7.3740 Å, 71.56 87.80 87.95°
Space group P1 (No. 1)
Unique sites:
Mg  0.0000  0.0000  0.0000
Nb  0.4431  0.2583  0.1909
Nb  0.9536  0.8361  0.4966
Cu  0.6250  0.7521  0.8562
Cu  0.8891  0.2734  0.6449
O  0.4234  0.5284  0.0281
O  0.4526  0.9113  0.4383
O  0.4879  0.1000  0.0084
O  0.9312  0.9659  0.7153
O  0.9486  0.5545  0.6273
O  0.9535  0.1741  0.2425
F  0.4494  0.3296  0.4387
F  0.9769  0.7659  0.2371

Values from the calculation:
E (MP2020) in Ry per atom: -0.542
Calculated volume in Å³/cell: 179
ρ in kg/m3: 4377
Spin magnetization in μB/cell: 0.00

---

- Among the records above, which one has the highest calculated volume?
  Na5Y3ZrP6O24